This record from the Materials Project describes PrFeSb3 after structural relaxation. The functional is PBE.

abc: 6.2980 12.8375 18.3280
angles: 90.00 90.00 90.00
Fractional positions:
Fe (0.8284, 0.0999, 0.8206)
Fe (0.2500, 0.1037, 0.5000)
Fe (0.1716, 0.9001, 0.3206)
Fe (0.8284, 0.0999, 0.6794)
Fe (0.3284, 0.9001, 0.6794)
Fe (0.2500, 0.1037, 0.0000)
Fe (0.6716, 0.0999, 0.3206)
Fe (0.6716, 0.0999, 0.1794)
Fe (0.1716, 0.9001, 0.1794)
Fe (0.3284, 0.9001, 0.8206)
Fe (0.7500, 0.8963, 0.5000)
Fe (0.7500, 0.8963, 0.0000)
Pr (0.5249, 0.2971, 0.9172)
Pr (0.0573, 0.3058, 0.7500)
Pr (0.9427, 0.6942, 0.2500)
Pr (0.0249, 0.7029, 0.5828)
Pr (0.5573, 0.6942, 0.7500)
Pr (0.0249, 0.7029, 0.9172)
Pr (0.5249, 0.2971, 0.5828)
Pr (0.9751, 0.2971, 0.0828)
Pr (0.4751, 0.7029, 0.4172)
Pr (0.4427, 0.3058, 0.2500)
Pr (0.9751, 0.2971, 0.4172)
Pr (0.4751, 0.7029, 0.0828)
Sb (0.7060, 0.4968, 0.3343)
Sb (0.2500, 0.4963, 0.5000)
Sb (0.2060, 0.5032, 0.1657)
Sb (0.4768, 0.2190, 0.4158)
Sb (0.2940, 0.5032, 0.8343)
Sb (0.8202, 0.9411, 0.2500)
Sb (0.2060, 0.5032, 0.3343)
Sb (0.4600, 0.9708, 0.4139)
Sb (0.9768, 0.7810, 0.0842)
Sb (0.9768, 0.7810, 0.4158)
Sb (0.9600, 0.0292, 0.0861)
Sb (0.5533, 0.2163, 0.7500)
Sb (0.3202, 0.0589, 0.2500)
Sb (0.4467, 0.7837, 0.2500)
Sb (0.2500, 0.4963, 0.0000)
Sb (0.7500, 0.5037, 0.0000)
Sb (0.0533, 0.7837, 0.7500)
Sb (0.7500, 0.5037, 0.5000)
Sb (0.2940, 0.5032, 0.6657)
Sb (0.0400, 0.9708, 0.9139)
Sb (0.0400, 0.9708, 0.5861)
Sb (0.5400, 0.0292, 0.5861)
Sb (0.1798, 0.0589, 0.7500)
Sb (0.5400, 0.0292, 0.9139)
Sb (0.5232, 0.7810, 0.5842)
Sb (0.4600, 0.9708, 0.0861)
Sb (0.7940, 0.4968, 0.8343)
Sb (0.7940, 0.4968, 0.6657)
Sb (0.6798, 0.9411, 0.7500)
Sb (0.0232, 0.2190, 0.9158)
Sb (0.0232, 0.2190, 0.5842)
Sb (0.9600, 0.0292, 0.4139)
Sb (0.9467, 0.2163, 0.2500)
Sb (0.5232, 0.7810, 0.9158)
Sb (0.4768, 0.2190, 0.0842)
Sb (0.7060, 0.4968, 0.1657)

## Properties
The crystal system is orthorhombic. The calculation puts the energy above the most stable polymorph in this dataset at 20 meV/atom. The formation energy from the elements comes out at -584 meV per atom. The calculation puts the total energy at -5.5963 eV per atom.